1.
Entry from Materials Project: an optimized crystal structure of K3V14O28 (GGA+U).

a b c (Å): 12.5159 12.5159 12.5159
angles (deg): 131.62 131.62 70.82
Closest atoms and distances in Å follow each position.
Atoms (fractional coordinates):
K  0.7695  0.7695  0.0000  8 O 2.85-3.15, 1 K 3.15
K  0.0760  0.0760  0.0000  8 O 2.91-3.04, 2 K 3.10-3.15
K  0.6030  0.6030  0.0000  4 O 2.73
K  0.9240  0.9240  0.0000  8 O 2.91-3.04, 2 K 3.10-3.15
K  0.2305  0.2305  0.0000  8 O 2.85-3.15, 1 K 3.15
K  0.3970  0.3970  0.0000  4 O 2.73
V  0.1688  0.6477  0.8166  6 O 1.93-2.06
V  0.7808  0.5962  0.5216  6 O 1.93-2.04
V  0.9254  0.7408  0.5216  6 O 1.93-2.04
V  0.6477  0.8312  0.4789  6 O 1.93-2.06
V  0.5048  0.6867  0.4808  6 O 1.92-2.04
V  0.1196  0.6380  0.1843  6 O 1.94-2.05
V  0.2592  0.7808  0.1846  6 O 1.93-2.04
V  0.4038  0.9254  0.1846  6 O 1.93-2.04
V  0.3133  0.7942  0.8181  6 O 1.92-2.04
V  0.7408  0.2192  0.8154  6 O 1.93-2.04
V  0.4536  0.9353  0.8157  6 O 1.94-2.05
V  0.5962  0.0746  0.8154  6 O 1.93-2.04
V  0.2058  0.0239  0.5192  6 O 1.92-2.04
V  0.0647  0.8804  0.5183  6 O 1.94-2.05
V  0.3523  0.1688  0.5211  6 O 1.93-2.06
V  0.7942  0.9761  0.4808  6 O 1.92-2.04
V  0.2192  0.4038  0.4784  6 O 1.93-2.04
V  0.0746  0.2592  0.4784  6 O 1.93-2.04
V  0.9353  0.1196  0.4817  6 O 1.94-2.05
V  0.6867  0.2058  0.1819  6 O 1.92-2.04
V  0.5464  0.0647  0.1843  6 O 1.94-2.05
V  0.8312  0.3523  0.1834  6 O 1.93-2.06
V  0.8804  0.3620  0.8157  6 O 1.94-2.05
V  0.0239  0.5048  0.8181  6 O 1.92-2.04
V  0.6380  0.4536  0.5183  6 O 1.94-2.05
V  0.4952  0.3133  0.5192  6 O 1.92-2.04
V  0.3620  0.5464  0.4817  6 O 1.94-2.05
V  0.9761  0.4952  0.1819  6 O 1.92-2.04
O  0.2240  0.5870  0.9528  3 V 1.94-2.04
O  0.3658  0.7288  0.9528  3 V 1.94-2.04
O  0.9700  0.5947  0.7066  3 V 1.93-2.00
O  0.1118  0.7365  0.7066  3 V 1.93-2.00
O  0.5870  0.6342  0.3630  3 V 1.94-2.04
O  0.7288  0.7760  0.3630  3 V 1.94-2.04
O  0.8455  0.7972  0.6427  3 V 1.98-2.06
O  0.7036  0.6591  0.6470  3 V 1.97-2.04
O  0.4599  0.8369  0.2969  3 V 1.93-1.98
O  0.3204  0.6943  0.2969  3 V 1.93-1.98
O  0.2028  0.8455  0.0483  3 V 1.98-2.06
O  0.0566  0.7036  0.0446  3 V 1.97-2.04
O  0.4527  0.7476  0.6251  3 V 1.92-2.00
O  0.3057  0.6026  0.6261  3 V 1.93-1.98
O  0.7365  0.0300  0.6247  3 V 1.93-2.00
O  0.5947  0.8882  0.6247  3 V 1.93-2.00
O  0.9766  0.6796  0.3739  3 V 1.93-1.98
O  0.1225  0.8276  0.3749  3 V 1.92-2.00
O  0.4053  0.1118  0.3753  3 V 1.93-2.00
O  0.2635  0.9700  0.3753  3 V 1.93-2.00
O  0.6591  0.0120  0.9554  3 V 1.97-2.04
O  0.5113  0.8669  0.9547  3 V 1.92-2.05
O  0.7972  0.1545  0.9517  3 V 1.98-2.06
O  0.3974  0.0234  0.7031  3 V 1.93-1.98
O  0.2524  0.8775  0.7051  3 V 1.92-2.00
O  0.5401  0.1631  0.7031  3 V 1.93-1.98
O  0.0120  0.0566  0.3530  3 V 1.97-2.04
O  0.8669  0.9122  0.3556  3 V 1.92-2.05
O  0.1545  0.2028  0.3573  3 V 1.98-2.06
O  0.9880  0.9434  0.6470  3 V 1.97-2.04
O  0.4130  0.3658  0.6370  3 V 1.94-2.04
O  0.1331  0.0878  0.6444  3 V 1.92-2.05
O  0.2712  0.2240  0.6370  3 V 1.94-2.04
O  0.6026  0.9766  0.2969  3 V 1.93-1.98
O  0.0300  0.4053  0.2934  3 V 1.93-2.00
O  0.8882  0.2635  0.2934  3 V 1.93-2.00
O  0.7476  0.1225  0.2949  3 V 1.92-2.00
O  0.3409  0.9880  0.0446  3 V 1.97-2.04
O  0.7760  0.4130  0.0472  3 V 1.94-2.04
O  0.6342  0.2712  0.0472  3 V 1.94-2.04
O  0.4887  0.1331  0.0453  3 V 1.92-2.05
O  0.8775  0.1724  0.6251  3 V 1.92-2.00
O  0.1631  0.4599  0.6230  3 V 1.93-1.98
O  0.0234  0.3204  0.6261  3 V 1.93-1.98
O  0.5473  0.2524  0.3749  3 V 1.92-2.00
O  0.8369  0.5401  0.3770  3 V 1.93-1.98
O  0.6943  0.3974  0.3739  3 V 1.93-1.98
O  0.9434  0.2964  0.9554  3 V 1.97-2.04
O  0.0878  0.4434  0.9547  3 V 1.92-2.05
O  0.8276  0.4527  0.7051  3 V 1.92-2.00
O  0.6796  0.3057  0.7031  3 V 1.93-1.98
O  0.2964  0.3409  0.3530  3 V 1.97-2.04
O  0.4434  0.4887  0.3556  3 V 1.92-2.05
O  0.5566  0.5113  0.6444  3 V 1.92-2.05
O  0.1724  0.5473  0.2949  3 V 1.92-2.00
O  0.9122  0.5566  0.0453  3 V 1.92-2.05

Its calculated formation energy is -2.47 eV per atom. The value obtained for the density is 4.0 g/cm³. The calculation puts the corrected total energy (MP2020 scheme) at -8.45 eV/atom.

2.
Entry from Materials Project: an optimized crystal structure of Li5Mn3O8 (GGA+U).

a b c (Å): 5.0750 10.4979 5.8522
angles (deg): 97.09 104.57 103.97
Closest atoms and distances in Å follow each position.
Atoms (fractional coordinates):
Li  0.7500  0.7500  0.6247  6 O 2.07-2.18
Li  0.7500  0.7500  0.1253  6 O 2.07-2.18
Li  0.6371  0.1232  0.1923  5 O 2.03-2.20
Li  0.6371  0.1232  0.6922  5 O 2.03-2.20
Li  0.8629  0.3768  0.5578  5 O 2.03-2.20
Li  0.8629  0.3768  0.0578  5 O 2.03-2.20
Li  0.1380  0.6404  0.4529  5 O 2.00-2.24
Li  0.1381  0.6403  0.9532  5 O 2.00-2.23
Li  0.3619  0.8597  0.7968  5 O 2.00-2.23
Li  0.3620  0.8596  0.2971  5 O 2.00-2.24
Mn  0.2498  0.2500  0.3749  4 O 1.93-2.03
Mn  0.2501  0.2500  0.8751  4 O 1.93-2.03
Mn  0.9989  0.9896  0.9929  5 O 1.81-2.02
Mn  0.9996  0.9898  0.4929  5 O 1.81-2.02
Mn  0.5004  0.5102  0.2572  5 O 1.81-2.02
Mn  0.5011  0.5104  0.7571  5 O 1.81-2.02
O  0.2811  0.0603  0.3242  3 Mn 1.99-2.03, 1 Li 2.13
O  0.2804  0.0601  0.8234  3 Mn 1.99-2.03, 1 Li 2.13
O  0.2188  0.4397  0.4258  3 Mn 1.99-2.03, 1 Li 2.13
O  0.2196  0.4399  0.9266  3 Mn 1.99-2.03, 1 Li 2.13
O  0.5469  0.3177  0.2329  2 Mn 1.93-2.08, 2 Li 2.07-2.12
O  0.5471  0.3177  0.7342  2 Mn 1.93-2.08, 2 Li 2.06-2.13
O  0.9531  0.1823  0.5171  2 Mn 1.93-2.08, 2 Li 2.07-2.12
O  0.9529  0.1823  0.0158  2 Mn 1.93-2.08, 2 Li 2.06-2.13
O  0.7683  0.5542  0.5761  2 Mn 1.93-1.94, 2 Li 2.03-2.07
O  0.7680  0.5543  0.0757  2 Mn 1.93, 2 Li 2.03-2.07
O  0.7320  0.9457  0.6742  2 Mn 1.93, 2 Li 2.03-2.07
O  0.7317  0.9458  0.1740  2 Mn 1.93-1.94, 2 Li 2.03-2.07
O  0.0691  0.8277  0.4741  1 Mn 1.81, 2 Li 2.00-2.02
O  0.0693  0.8280  0.9743  1 Mn 1.81, 2 Li 2.00-2.02
O  0.4307  0.6720  0.7757  1 Mn 1.81, 2 Li 2.00-2.02
O  0.4309  0.6722  0.2759  1 Mn 1.81, 2 Li 2.00-2.02

Its calculated formation energy is -2.12 eV per atom. The value obtained for the density is 3.8 g/cm³. The calculation puts the corrected total energy (MP2020 scheme) at -6.91 eV/atom. The calculation puts the energy above the most stable polymorph in this dataset at 0.0330 eV/atom.

3.
Entry from Materials Project: an optimized crystal structure of PmWO3 (GGA+U).

a b c (Å): 4.1273 4.1273 4.1273
angles (deg): 90.00 90.00 90.00
Closest atoms and distances in Å follow each position.
Atoms (fractional coordinates):
Pm  0.0000  0.0000  0.0000  12 O 2.92
W  0.5000  0.5000  0.5000  6 O 2.06
O  0.5000  0.5000  0.0000  2 W 2.06
O  0.5000  0.0000  0.5000  2 W 2.06
O  0.0000  0.5000  0.5000  2 W 2.06

Its calculated formation energy is -2.28 eV per atom. The value obtained for the density is 8.9 g/cm³. The calculation puts the corrected total energy (MP2020 scheme) at -8.79 eV/atom.

4.
Entry from Materials Project: an optimized crystal structure of FeO2 (GGA+U).

a b c (Å): 2.9666 8.7772 10.7181
angles (deg): 90.00 90.00 90.00
Closest atoms and distances in Å follow each position.
Atoms (fractional coordinates):
Fe  0.7500  0.9142  0.1035  6 O 1.95-2.05
Fe  0.2500  0.5858  0.6035  6 O 1.95-2.05
Fe  0.7500  0.4142  0.3965  6 O 1.95-2.05
Fe  0.2500  0.0858  0.8965  6 O 1.95-2.05
Fe  0.2500  0.0518  0.3834  6 O 1.95-2.02
Fe  0.7500  0.9482  0.6166  6 O 1.95-2.02
Fe  0.2500  0.5518  0.1166  6 O 1.95-2.02
Fe  0.7500  0.4482  0.8834  6 O 1.95-2.02
O  0.7500  0.4196  0.0704  3 Fe 1.95-2.02
O  0.2500  0.5804  0.9296  3 Fe 1.95-2.02
O  0.7500  0.9196  0.4296  3 Fe 1.95-2.02
O  0.2500  0.0804  0.5704  3 Fe 1.95-2.02
O  0.7500  0.5344  0.7132  3 Fe 1.95-1.98
O  0.2500  0.4656  0.2868  3 Fe 1.95-1.98
O  0.7500  0.0344  0.7868  3 Fe 1.95-1.98
O  0.2500  0.9656  0.2132  3 Fe 1.95-1.98
O  0.7500  0.1193  0.0123  3 Fe 1.96-2.05
O  0.2500  0.8807  0.9877  3 Fe 1.96-2.05
O  0.7500  0.6193  0.4877  3 Fe 1.96-2.05
O  0.2500  0.3807  0.5123  3 Fe 1.96-2.05
O  0.2500  0.3085  0.8537  3 Fe 1.95-2.01
O  0.7500  0.6915  0.1463  3 Fe 1.95-2.01
O  0.7500  0.1915  0.3537  3 Fe 1.95-2.01
O  0.2500  0.8085  0.6463  3 Fe 1.95-2.01

Its calculated formation energy is -1.03 eV per atom. The value obtained for the density is 4.2 g/cm³. The calculation puts the corrected total energy (MP2020 scheme) at -7.15 eV/atom.

Number 3 is which compound? PmWO3